The following is a GGA+U calculation of Li7Mn4CoO12 after structural relaxation, from the Materials Project.

The structure in POSCAR format:
```
Li7Mn4CoO12
1.0
5.170 0.046 2.723
-0.361 7.196 -2.396
0.149 -0.209 5.924
Mn Li O Co
4 7 12 1
direct
0.504 0.993 0.496 Mn
0.665 0.340 0.339 Mn
0.001 0.993 0.994 Mn
0.163 0.340 0.838 Mn
0.169 0.346 0.347 Li
0.669 0.341 0.842 Li
0.997 0.993 0.491 Li
0.833 0.667 0.667 Li
0.333 0.667 0.167 Li
0.498 0.988 0.986 Li
0.833 0.667 0.167 Li
0.329 0.157 0.885 O
0.470 0.505 0.767 O
0.005 0.474 0.217 O
0.168 0.831 0.048 O
0.662 0.859 0.116 O
0.338 0.177 0.448 O
0.802 0.166 0.429 O
0.642 0.835 0.585 O
0.864 0.168 0.905 O
0.498 0.502 0.286 O
0.025 0.499 0.749 O
0.197 0.828 0.566 O
0.333 0.667 0.667 Co
```

Values from the calculation:
Offset from the most stable computed form = 19.1 meV/atom
Formation enthalpy at 0 K = -2.065 eV/atom